# 1
Below is an optimized crystal structure of Sm2Sn3Pb3S12, with properties calculated at the PBE level.

## Properties
- spin magnetization (μB per cell) = 0.000
- uncorrected energy (eV/cell) = -198.0
- crystal system = orthorhombic

Unit cell a=3.9685 b=11.7195 c=20.6056 alpha=90.00 beta=90.00 gamma=90.00
Last column: nearest neighbours and their distance in Å.
Atoms (fractional coordinates):
Sm 0.5000 0.6496 0.4123  7 S 2.88-3.18
Sm 0.5000 0.1496 0.5877  7 S 2.88-3.18
Sm 0.5000 0.8250 0.8944  7 S 2.84-2.87
Sm 0.5000 0.3250 0.1056  7 S 2.84-2.87
Sn 0.0000 0.0017 0.7499  6 S 2.55-2.66
Sn 0.0000 0.5017 0.2501  6 S 2.55-2.66
Sn 0.0000 0.5186 0.9118  6 S 2.55-2.64
Sn 0.0000 0.0186 0.0882  6 S 2.55-2.64
Sn 0.0000 0.9942 0.4247  5 S 2.45-2.58
Sn 0.0000 0.4942 0.5753  5 S 2.45-2.58
Pb 0.5000 0.4032 0.7425  6 S 2.96-3.10
Pb 0.5000 0.9032 0.2575  6 S 2.96-3.10
Pb 0.5000 0.1986 0.9136  7 S 2.96-3.21
Pb 0.5000 0.6986 0.0864  7 S 2.96-3.21
Pb 0.5000 0.7710 0.6229  7 S 2.90-3.20
Pb 0.5000 0.2710 0.3771  7 S 2.90-3.20
S 0.0000 0.9947 0.8748  1 Sn 2.57, 2 Sm 2.84
S 0.0000 0.4947 0.1252  1 Sn 2.57, 2 Sm 2.84
S 0.0000 0.9821 0.6267  1 Sn 2.55
S 0.0000 0.4821 0.3733  1 Sn 2.55
S 0.0000 0.6831 0.5117  1 Sn 2.57, 2 Sm 2.88
S 0.0000 0.1831 0.4883  1 Sn 2.57, 2 Sm 2.88
S 0.5000 0.6458 0.2579  2 Sn 2.61
S 0.5000 0.1458 0.7421  2 Sn 2.61
S 0.5000 0.8514 0.7561  2 Sn 2.66, 1 Sm 2.87, 1 Pb 2.90
S 0.5000 0.3514 0.2439  2 Sn 2.66, 1 Sm 2.87, 1 Pb 2.90
S 0.5000 0.5992 0.8412  2 Sn 2.64, 1 Sm 2.86
S 0.5000 0.0992 0.1588  2 Sn 2.64, 1 Sm 2.86
S 0.5000 0.4379 0.9818  2 Sn 2.63, 1 Sm 2.87
S 0.5000 0.9379 0.0182  2 Sn 2.63, 1 Sm 2.87
S 0.5000 0.9348 0.4899  2 Sn 2.49
S 0.5000 0.4348 0.5101  2 Sn 2.49
S 0.0000 0.3379 0.8428  1 Sn 2.55
S 0.0000 0.8379 0.1572  1 Sn 2.55
S 0.0000 0.7111 0.9705  1 Sn 2.56, 2 Sm 2.86
S 0.0000 0.2111 0.0295  1 Sn 2.56, 2 Sm 2.86
S 0.0000 0.8070 0.3592  1 Sn 2.58
S 0.0000 0.3070 0.6408  1 Sn 2.58
S 0.0000 0.6022 0.6771  1 Sn 2.45
S 0.0000 0.1022 0.3229  1 Sn 2.45

# 2
Below is an optimized crystal structure of SnPbS2, with properties calculated at the PBE level.

## Properties
- spin magnetization (μB per cell) = 0.001
- uncorrected energy (eV/cell) = -32.0
- crystal system = orthorhombic

Unit cell a=3.7758 b=6.3467 c=25.5743 alpha=90.00 beta=90.00 gamma=90.00
Last column: nearest neighbours and their distance in Å.
Atoms (fractional coordinates):
Sn 0.0774 0.5000 0.4047  2 S 2.48
Sn 0.9226 0.5000 0.9047  2 S 2.48
Pb 0.9180 0.5000 0.5936  2 S 2.54-2.55
Pb 0.0820 0.5000 0.0936  2 S 2.54-2.55
S 0.5787 0.5000 0.3418  2 Sn 2.48
S 0.4213 0.5000 0.8418  2 Sn 2.48
S 0.4178 0.5000 0.6603  2 Pb 2.54-2.55
S 0.5822 0.5000 0.1603  2 Pb 2.54-2.55

# 3
Below is an optimized crystal structure of SnPb4S5, with properties calculated at the PBE level.

## Properties
- spin magnetization (μB per cell) = 0.000
- uncorrected energy (eV/cell) = -44.5
- crystal system = tetragonal

Unit cell a=15.3353 b=15.3353 c=15.3353 alpha=164.23 beta=164.23 gamma=22.38
Last column: nearest neighbours and their distance in Å.
Atoms (fractional coordinates):
Sn 0.0000 0.0000 0.0000  6 S 2.97-2.98
Pb 0.4005 0.4005 0.0000  6 S 2.98-3.03
Pb 0.8002 0.8002 0.0000  6 S 2.98-3.04
Pb 0.1998 0.1998 0.0000  6 S 2.98-3.04
Pb 0.5995 0.5995 0.0000  6 S 2.98-3.03
S 0.5000 0.5000 0.0000  4 Sn 2.98, 2 Pb 2.99
S 0.7001 0.7001 0.0000  6 Pb 2.98-3.03
S 0.0987 0.0987 0.0000  1 Sn 2.97, 5 Pb 2.98-3.04
S 0.9013 0.9013 0.0000  1 Sn 2.97, 5 Pb 2.98-3.04
S 0.2999 0.2999 0.0000  6 Pb 2.98-3.03

# 4
Below is an optimized crystal structure of SnPbS3, with properties calculated at the PBE level.

## Properties
- spin magnetization (μB per cell) = 0.009
- uncorrected energy (eV/cell) = -89.1
- crystal system = orthorhombic

Unit cell a=3.8548 b=9.0663 c=14.4328 alpha=90.00 beta=90.00 gamma=90.00
Last column: nearest neighbours and their distance in Å.
Atoms (fractional coordinates):
Sn 0.2500 0.1637 0.9489  6 S 2.52-2.65
Sn 0.2500 0.6637 0.5511  6 S 2.52-2.65
Sn 0.7500 0.8363 0.0511  6 S 2.52-2.65
Sn 0.7500 0.3363 0.4489  6 S 2.52-2.65
Pb 0.7500 0.4891 0.8312  3 S 2.77-2.87
Pb 0.7500 0.9891 0.6688  3 S 2.77-2.87
Pb 0.2500 0.5109 0.1688  3 S 2.77-2.87
Pb 0.2500 0.0109 0.3312  3 S 2.77-2.87
S 0.7500 0.9817 0.8966  3 Sn 2.59-2.65
S 0.7500 0.4817 0.6034  3 Sn 2.59-2.65
S 0.2500 0.0183 0.1034  3 Sn 2.59-2.65
S 0.2500 0.5183 0.3966  3 Sn 2.59-2.65
S 0.7500 0.3352 0.0052  2 Sn 2.61, 1 Pb 2.87
S 0.7500 0.8352 0.4948  2 Sn 2.61, 1 Pb 2.87
S 0.2500 0.6648 0.9948  2 Sn 2.61, 1 Pb 2.87
S 0.2500 0.1648 0.5052  2 Sn 2.61, 1 Pb 2.87
S 0.2500 0.2795 0.7903  1 Sn 2.52, 2 Pb 2.77
S 0.2500 0.7795 0.7097  1 Sn 2.52, 2 Pb 2.77
S 0.7500 0.7205 0.2097  1 Sn 2.52, 2 Pb 2.77
S 0.7500 0.2205 0.2903  1 Sn 2.52, 2 Pb 2.77

# 5
Below is an optimized crystal structure of SnPbS2, with properties calculated at the PBE level.

## Properties
- spin magnetization (μB per cell) = 0.000
- uncorrected energy (eV/cell) = -35.8
- crystal system = orthorhombic

Unit cell a=4.0999 b=4.4254 c=11.7017 alpha=90.00 beta=90.00 gamma=90.00
Last column: nearest neighbours and their distance in Å.
Atoms (fractional coordinates):
Sn 0.5000 0.3701 0.3730  3 S 2.59-2.68
Sn 0.5000 0.6299 0.8730  3 S 2.59-2.68
Pb 0.0000 0.1399 0.6175  3 S 2.82
Pb 0.0000 0.8601 0.1175  3 S 2.82
S 0.0000 0.2420 0.8554  2 Sn 2.68, 1 Pb 2.82
S 0.0000 0.7580 0.3554  2 Sn 2.68, 1 Pb 2.82
S 0.5000 0.2863 0.1541  1 Sn 2.59, 2 Pb 2.82
S 0.5000 0.7137 0.6541  1 Sn 2.59, 2 Pb 2.82

# 6
Below is an optimized crystal structure of SnPbS2, with properties calculated at the PBE level.

## Properties
- spin magnetization (μB per cell) = 0.000
- uncorrected energy (eV/cell) = -35.5
- crystal system = triclinic

Unit cell a=4.1767 b=4.2278 c=17.0710 alpha=87.34 beta=85.66 gamma=90.06
Last column: nearest neighbours and their distance in Å.
Atoms (fractional coordinates):
Sn 0.3251 0.6133 0.2444  1 S 2.60
Sn 0.2236 0.8656 0.5877  3 S 2.63-2.75
Pb 0.6706 0.3830 0.7591  3 S 2.69-2.95
Pb 0.7768 0.1090 0.4138  3 S 2.71-2.89
S 0.7161 0.4463 0.6009  1 Pb 2.69, 2 Sn 2.73-2.75
S 0.2841 0.5784 0.3973  1 Sn 2.60, 2 Pb 2.88-2.89
S 0.1733 0.9014 0.7417  1 Sn 2.63, 2 Pb 2.93-2.95
S 0.8305 0.1030 0.2550  1 Pb 2.71, 4 Sn 2.93-3.03

# 7
Below is an optimized crystal structure of SnPbS2, with properties calculated at the PBE level.

## Properties
- spin magnetization (μB per cell) = 0.003
- uncorrected energy (eV/cell) = -17.8
- crystal system = trigonal

Unit cell a=7.2683 b=7.2683 c=7.2683 alpha=33.53 beta=33.53 gamma=33.53
Last column: nearest neighbours and their distance in Å.
Atoms (fractional coordinates):
Sn 0.5000 0.5000 0.5000  6 S 2.93
Pb 0.0000 0.0000 0.0000  6 S 3.00
S 0.2472 0.2472 0.2472  3 Sn 2.93, 3 Pb 3.00
S 0.7528 0.7528 0.7528  3 Sn 2.93, 3 Pb 3.00

# 8
Below is an optimized crystal structure of Tb2Sn3Pb3S12, with properties calculated at the PBE level.

## Properties
- spin magnetization (μB per cell) = 0.000
- uncorrected energy (eV/cell) = -197.6
- crystal system = orthorhombic

Unit cell a=3.9564 b=11.6906 c=20.5484 alpha=90.00 beta=90.00 gamma=90.00
Last column: nearest neighbours and their distance in Å.
Atoms (fractional coordinates):
Tb 0.5000 0.6478 0.4124  8 S 2.84-3.16
Tb 0.5000 0.1478 0.5876  8 S 2.84-3.16
Tb 0.5000 0.8255 0.8948  7 S 2.80-2.85
Tb 0.5000 0.3255 0.1052  7 S 2.80-2.85
Sn 0.0000 0.0018 0.7503  6 S 2.56-2.66
Sn 0.0000 0.5018 0.2497  6 S 2.56-2.66
Sn 0.0000 0.5193 0.9120  6 S 2.55-2.63
Sn 0.0000 0.0193 0.0880  6 S 2.55-2.63
Sn 0.0000 0.9930 0.4262  5 S 2.46-2.58
Sn 0.0000 0.4930 0.5738  5 S 2.46-2.58
Pb 0.5000 0.4043 0.7416  8 S 2.97-3.31
Pb 0.5000 0.9043 0.2584  8 S 2.97-3.31
Pb 0.5000 0.1993 0.9140  7 S 2.95-3.23
Pb 0.5000 0.6993 0.0860  7 S 2.95-3.23
Pb 0.5000 0.7716 0.6222  7 S 2.92-3.22
Pb 0.5000 0.2716 0.3778  7 S 2.92-3.22
S 0.0000 0.9919 0.8757  1 Sn 2.58, 2 Tb 2.80
S 0.0000 0.4919 0.1243  1 Sn 2.58, 2 Tb 2.80
S 0.0000 0.9837 0.6261  1 Sn 2.56
S 0.0000 0.4837 0.3739  1 Sn 2.56
S 0.0000 0.6828 0.5093  1 Sn 2.58, 2 Tb 2.84
S 0.0000 0.1828 0.4907  1 Sn 2.58, 2 Tb 2.84
S 0.5000 0.6466 0.2585  2 Sn 2.61
S 0.5000 0.1466 0.7415  2 Sn 2.61
S 0.5000 0.8502 0.7570  2 Sn 2.66, 1 Tb 2.85, 1 Pb 2.92
S 0.5000 0.3502 0.2430  2 Sn 2.66, 1 Tb 2.85, 1 Pb 2.92
S 0.5000 0.6015 0.8415  2 Sn 2.63, 1 Tb 2.84
S 0.5000 0.1015 0.1585  2 Sn 2.63, 1 Tb 2.84
S 0.5000 0.4366 0.9823  2 Sn 2.63, 1 Tb 2.84
S 0.5000 0.9366 0.0177  2 Sn 2.63, 1 Tb 2.84
S 0.5000 0.9365 0.4924  2 Sn 2.49
S 0.5000 0.4365 0.5076  2 Sn 2.49
S 0.0000 0.3380 0.8427  1 Sn 2.55
S 0.0000 0.8380 0.1573  1 Sn 2.55
S 0.0000 0.7139 0.9700  1 Sn 2.57, 2 Tb 2.83
S 0.0000 0.2139 0.0300  1 Sn 2.57, 2 Tb 2.83
S 0.0000 0.8045 0.3608  1 Sn 2.58
S 0.0000 0.3045 0.6392  1 Sn 2.58
S 0.0000 0.6006 0.6764  1 Sn 2.46
S 0.0000 0.1006 0.3236  1 Sn 2.46

# 9
Below is an optimized crystal structure of Y2Sn3Pb3S12, with properties calculated at the PBE level.

## Properties
- spin magnetization (μB per cell) = 0.000
- uncorrected energy (eV/cell) = -204.9
- crystal system = orthorhombic

Unit cell a=3.9425 b=11.6719 c=20.4390 alpha=90.00 beta=90.00 gamma=90.00
Last column: nearest neighbours and their distance in Å.
Atoms (fractional coordinates):
Y 0.0000 0.5460 0.4118  8 S 2.84-3.17
Y 0.0000 0.0460 0.5882  8 S 2.84-3.17
Y 0.0000 0.8683 0.1050  7 S 2.78-2.83
Y 0.0000 0.3683 0.8950  7 S 2.78-2.83
Sn 0.5000 0.6930 0.2497  6 S 2.54-2.65
Sn 0.5000 0.1930 0.7503  6 S 2.54-2.65
Sn 0.5000 0.1747 0.0884  6 S 2.55-2.63
Sn 0.5000 0.6747 0.9116  6 S 2.55-2.63
Sn 0.5000 0.2007 0.4252  5 S 2.45-2.58
Sn 0.5000 0.7007 0.5748  5 S 2.45-2.58
Pb 0.0000 0.9231 0.3777  7 S 2.91-3.20
Pb 0.0000 0.4231 0.6223  7 S 2.91-3.20
Pb 0.0000 0.2893 0.2580  8 S 2.95-3.31
Pb 0.0000 0.7893 0.7420  8 S 2.95-3.31
Pb 0.0000 0.4967 0.0860  7 S 2.95-3.21
Pb 0.0000 0.9967 0.9140  7 S 2.95-3.21
S 0.0000 0.2551 0.0174  2 Sn 2.62, 1 Y 2.83
S 0.0000 0.7551 0.9826  2 Sn 2.62, 1 Y 2.83
S 0.0000 0.0919 0.1588  2 Sn 2.63, 1 Y 2.83
S 0.0000 0.5919 0.8412  2 Sn 2.63, 1 Y 2.83
S 0.0000 0.8444 0.2426  2 Sn 2.65, 1 Y 2.83, 1 Pb 2.91
S 0.0000 0.3444 0.7574  2 Sn 2.65, 1 Y 2.83, 1 Pb 2.91
S 0.0000 0.5483 0.2580  2 Sn 2.60
S 0.0000 0.0483 0.7420  2 Sn 2.60
S 0.0000 0.2574 0.4912  2 Sn 2.48
S 0.0000 0.7574 0.5088  2 Sn 2.48
S 0.5000 0.9801 0.0311  1 Sn 2.56, 2 Y 2.81
S 0.5000 0.4801 0.9689  1 Sn 2.56, 2 Y 2.81
S 0.5000 0.7032 0.1242  1 Sn 2.57, 2 Y 2.78
S 0.5000 0.2032 0.8758  1 Sn 2.57, 2 Y 2.78
S 0.5000 0.3563 0.1574  1 Sn 2.55
S 0.5000 0.8563 0.8426  1 Sn 2.55
S 0.5000 0.0921 0.3227  1 Sn 2.45
S 0.5000 0.5921 0.6773  1 Sn 2.45
S 0.5000 0.3897 0.3597  1 Sn 2.58, 2 Y 2.89
S 0.5000 0.8897 0.6403  1 Sn 2.58, 2 Y 2.89
S 0.5000 0.7092 0.3735  1 Sn 2.54
S 0.5000 0.2092 0.6265  1 Sn 2.54
S 0.5000 0.0115 0.4904  1 Sn 2.58, 2 Y 2.84
S 0.5000 0.5115 0.5096  1 Sn 2.58, 2 Y 2.84

# 10
Below is an optimized crystal structure of Sr3PbS4, with properties calculated at the PBE level.

## Properties
- uncorrected energy (eV/cell) = -39.3
- crystal system = orthorhombic

Unit cell a=4.2849 b=6.0535 c=8.5729 alpha=90.00 beta=90.00 gamma=90.00
Last column: nearest neighbours and their distance in Å.
Atoms (fractional coordinates):
Sr 0.5000 0.5000 0.2482  6 S 3.02-3.04
Sr 0.0000 0.0000 0.5000  6 S 3.02-3.03
Sr 0.5000 0.5000 0.7518  6 S 3.02-3.04
Pb 0.0000 0.0000 0.0000  6 S 3.03-3.04
S 0.0000 0.5000 0.5000  6 Sr 3.03-3.04
S 0.5000 0.0000 0.7481  4 Sr 3.02-3.03, 2 Pb 3.04
S 0.0000 0.5000 0.0000  4 Sr 3.02, 2 Pb 3.03
S 0.5000 0.0000 0.2519  4 Sr 3.02-3.03, 2 Pb 3.04

# 11
Below is an optimized crystal structure of SrPb3S4, with properties calculated at the PBE level.

## Properties
- uncorrected energy (eV/cell) = -36.8
- crystal system = trigonal

Unit cell a=14.1082 b=14.1082 c=14.1082 alpha=17.43 beta=17.43 gamma=17.43
Last column: nearest neighbours and their distance in Å.
Atoms (fractional coordinates):
Sr 0.0000 0.0000 0.0000  6 S 3.01
Pb 0.2498 0.2498 0.2498  6 S 3.02-3.03
Pb 0.5000 0.5000 0.5000  6 S 3.02
Pb 0.7502 0.7502 0.7502  6 S 3.02-3.03
S 0.1251 0.1251 0.1251  6 Pb 3.02
S 0.3748 0.3748 0.3748  3 Sr 3.01, 3 Pb 3.03
S 0.6252 0.6252 0.6252  3 Sr 3.01, 3 Pb 3.03
S 0.8749 0.8749 0.8749  6 Pb 3.02

# 12
Below is an optimized crystal structure of Tb2PbS4, with properties calculated at the PBE level.

## Properties
- spin magnetization (μB per cell) = 0.000
- uncorrected energy (eV/cell) = -81.1
- crystal system = tetragonal
- maximum piezoelectric response (C/m²) = 0.66

Unit cell a=7.3936 b=7.3936 c=7.3936 alpha=109.34 beta=109.34 gamma=109.74
Last column: nearest neighbours and their distance in Å.
Atoms (fractional coordinates):
Tb 0.1250 0.7456 0.1206  8 S 2.77-3.09
Tb 0.2544 0.3750 0.3794  8 S 2.77-3.09
Tb 0.6250 0.0044 0.8794  8 S 2.77-3.09
Tb 0.9956 0.8750 0.6206  8 S 2.77-3.09
Pb 0.5000 0.5000 0.0000  8 S 2.93-3.12
Pb 0.7500 0.2500 0.5000  8 S 2.93-3.12
S 0.0134 0.2585 0.9015  4 Tb 2.77-3.09, 1 Pb 2.93
S 0.7415 0.6429 0.7549  4 Tb 2.77-3.09, 1 Pb 2.93
S 0.3620 0.1071 0.5985  4 Tb 2.77-3.09, 1 Pb 2.93
S 0.2366 0.6380 0.7451  4 Tb 2.77-3.09, 1 Pb 2.93
S 0.8929 0.4915 0.2549  4 Tb 2.77-3.09, 1 Pb 2.93
S 0.8880 0.9866 0.2451  4 Tb 2.77-3.09, 1 Pb 2.93
S 0.3571 0.1120 0.0985  4 Tb 2.77-3.09, 1 Pb 2.93
S 0.5085 0.7634 0.4015  4 Tb 2.77-3.09, 1 Pb 2.93